A) Material: Sr25Cl52
Method: DFT, PBE
State: optimized geometry

abc: 8.6536 13.2378 20.6453
angles: 108.65 94.03 96.25
Closest atoms and distances in Å follow each position.
Space group P-1 (No. 2)
Inequivalent atoms, fractional coordinates:
Sr 0.0000 0.0000 0.0000 [1 per cell]  8 Cl 3.06-3.07
Sr 0.0372 0.3186 0.9220 [2 per cell]  8 Cl 3.01-3.10
Sr 0.0881 0.6404 0.8402 [2 per cell]  8 Cl 3.03-3.11
Sr 0.1181 0.9637 0.7602 [2 per cell]  8 Cl 3.01-3.09
Sr 0.1608 0.2812 0.6802 [2 per cell]  8 Cl 3.06-3.10
Sr 0.2002 0.5996 0.6002 [2 per cell]  8 Cl 3.06-3.10
Sr 0.2400 0.9194 0.5199 [2 per cell]  8 Cl 3.05-3.07
Sr 0.2756 0.2355 0.4391 [2 per cell]  8 Cl 2.98-3.11
Sr 0.3279 0.5606 0.3606 [2 per cell]  8 Cl 3.03-3.12
Sr 0.3580 0.8832 0.2803 [2 per cell]  8 Cl 3.00-3.09
Sr 0.4008 0.2016 0.1998 [2 per cell]  8 Cl 3.06-3.10
Sr 0.4407 0.5197 0.1202 [2 per cell]  8 Cl 3.06-3.10
Sr 0.4812 0.8427 0.0427 [2 per cell]  8 Cl 3.00-3.09
Cl 0.0103 0.8296 0.2302 [2 per cell]  4 Sr 3.02-3.10
Cl 0.0187 0.4882 0.6882 [2 per cell]  4 Sr 3.03-3.11, 1 Cl 3.16
Cl 0.0504 0.1498 0.1499 [2 per cell]  4 Sr 3.06-3.10
Cl 0.0705 0.8102 0.6100 [2 per cell]  4 Sr 3.02-3.09
Cl 0.0902 0.4699 0.0700 [2 per cell]  4 Sr 3.04-3.10
Cl 0.1091 0.1292 0.5304 [2 per cell]  4 Sr 3.04-3.07
Cl 0.1302 0.7905 0.9897 [2 per cell]  4 Sr 3.02-3.08
Cl 0.1493 0.4505 0.4500 [2 per cell]  4 Sr 3.06-3.11
Cl 0.1696 0.1098 0.9099 [2 per cell]  4 Sr 3.04-3.06
Cl 0.1895 0.7702 0.3701 [2 per cell]  4 Sr 3.06-3.09
Cl 0.2044 0.4260 0.8331 [2 per cell]  4 Sr 3.01-3.10, 1 Cl 3.17
Cl 0.2296 0.0898 0.2893 [2 per cell]  4 Sr 3.02-3.07
Cl 0.2458 0.7574 0.7503 [2 per cell]  4 Sr 3.01-3.10, 1 Cl 3.17
Cl 0.2586 0.4082 0.2082 [2 per cell]  4 Sr 3.03-3.12, 1 Cl 3.16
Cl 0.2894 0.0701 0.6698 [2 per cell]  4 Sr 3.05-3.08
Cl 0.3101 0.7301 0.1299 [2 per cell]  4 Sr 3.04-3.09
Cl 0.3266 0.3842 0.5842 [2 per cell]  4 Sr 2.98-3.09, 1 Cl 3.19
Cl 0.3496 0.0499 0.0502 [2 per cell]  4 Sr 3.05-3.09
Cl 0.3691 0.7101 0.5100 [2 per cell]  4 Sr 3.05-3.11
Cl 0.3798 0.5400 0.7401 [2 per cell]  8 Cl 3.16-3.19, 6 Sr 3.48-3.53
Cl 0.3902 0.3703 0.9700 [2 per cell]  4 Sr 3.06-3.08
Cl 0.4098 0.0297 0.4300 [2 per cell]  4 Sr 3.03-3.06
Cl 0.4333 0.6958 0.8960 [2 per cell]  4 Sr 3.00-3.09, 1 Cl 3.19
Cl 0.4444 0.3460 0.3530 [2 per cell]  4 Sr 3.00-3.10, 1 Cl 3.17
Cl 0.4704 0.0093 0.8095 [2 per cell]  4 Sr 3.02-3.08
Cl 0.4858 0.6773 0.2703 [2 per cell]  4 Sr 3.00-3.10, 1 Cl 3.17

* total magnetic moment: 2.6 Bohr magnetons per cell
* volume: 28.7 A^3/atom

B) Material: Sr25Cl52
Method: DFT, PBE
State: optimized geometry

abc: 8.6536 13.2378 20.6453
angles: 108.65 94.03 96.25
Closest atoms and distances in Å follow each position.
Space group P-1 (No. 2)
Inequivalent atoms, fractional coordinates:
Sr 0.0000 0.0000 0.0000 [1 per cell]  6 Cl 2.93-3.13
Sr 0.0372 0.3966 0.9220 [2 per cell]  6 Cl 2.90-3.16
Sr 0.0881 0.8001 0.8402 [2 per cell]  6 Cl 2.98-3.15
Sr 0.1181 0.2035 0.7602 [2 per cell]  6 Cl 2.89-3.16
Sr 0.1608 0.6010 0.6802 [2 per cell]  7 Cl 2.92-3.19
Sr 0.2002 0.9994 0.6002 [2 per cell]  6 Cl 2.90-3.14
Sr 0.2400 0.3995 0.5199 [2 per cell]  6 Cl 2.93-3.13
Sr 0.2756 0.7964 0.4391 [2 per cell]  6 Cl 2.92-3.17
Sr 0.3279 0.2000 0.3606 [2 per cell]  6 Cl 2.98-3.16
Sr 0.3580 0.6028 0.2803 [2 per cell]  6 Cl 2.88-3.16
Sr 0.4008 0.0018 0.1998 [2 per cell]  7 Cl 2.92-3.20
Sr 0.4407 0.3994 0.1202 [2 per cell]  6 Cl 2.89-3.14
Sr 0.4812 0.8000 0.0427 [2 per cell]  6 Cl 2.93-3.16
Cl 0.0103 0.5995 0.2302 [2 per cell]  2 Cl 2.85-2.94, 3 Sr 2.90-3.16
Cl 0.0187 0.8001 0.6882 [2 per cell]  2 Cl 2.89-3.04, 3 Sr 2.99-3.15
Cl 0.0504 0.0000 0.1499 [2 per cell]  2 Cl 2.89-2.94, 3 Sr 2.98-3.13
Cl 0.0705 0.2003 0.6100 [2 per cell]  2 Cl 2.93-2.95, 3 Sr 2.95-3.10
Cl 0.0902 0.3999 0.0700 [2 per cell]  2 Cl 2.94-2.95, 3 Sr 2.98-3.14
Cl 0.1091 0.5988 0.5304 [2 per cell]  2 Cl 2.91-2.93, 3 Sr 2.93-3.13
Cl 0.1302 0.8008 0.9897 [2 per cell]  2 Cl 2.93-2.95, 3 Sr 2.93-3.16
Cl 0.1493 0.0004 0.4500 [2 per cell]  2 Cl 2.94-2.95, 3 Sr 2.97-3.13
Cl 0.1696 0.1999 0.9099 [2 per cell]  3 Sr 2.90-3.11, 2 Cl 2.94-2.95
Cl 0.1895 0.4000 0.3701 [2 per cell]  2 Cl 2.89-2.94, 3 Sr 2.98-3.13
Cl 0.2044 0.5928 0.8331 [2 per cell]  2 Cl 2.85-3.05, 3 Sr 2.99-3.19
Cl 0.2296 0.8005 0.2893 [2 per cell]  2 Cl 2.86-2.94, 3 Sr 2.91-3.11
Cl 0.2458 0.0071 0.7503 [2 per cell]  3 Sr 2.89-3.18, 3 Cl 2.89-3.04
Cl 0.2586 0.2001 0.2082 [2 per cell]  2 Cl 2.89-3.04, 3 Sr 2.98-3.16
Cl 0.2894 0.4003 0.6698 [2 per cell]  2 Cl 2.90-2.93, 3 Sr 2.94-3.16
Cl 0.3101 0.6002 0.1299 [2 per cell]  2 Cl 2.94, 3 Sr 2.95-3.13
Cl 0.3266 0.8000 0.5842 [2 per cell]  3 Sr 2.90-3.12, 3 Cl 2.93-3.22
Cl 0.3496 0.9996 0.0502 [2 per cell]  2 Cl 2.92-2.93, 3 Sr 2.95-3.13
Cl 0.3691 0.2001 0.5100 [2 per cell]  3 Sr 2.93-3.17, 2 Cl 2.94-2.95
Cl 0.3798 0.7999 0.7401 [2 per cell]  2 Sr 2.92, 6 Cl 3.04-3.23
Cl 0.3902 0.4003 0.9700 [2 per cell]  3 Sr 2.93-3.13, 2 Cl 2.93-2.95
Cl 0.4098 0.5997 0.4300 [2 per cell]  3 Sr 2.92-3.13, 2 Cl 2.94-2.95
Cl 0.4333 0.7999 0.8960 [2 per cell]  3 Sr 2.89-3.13, 3 Cl 2.92-3.22
Cl 0.4444 0.9930 0.3530 [2 per cell]  2 Cl 2.86-3.05, 2 Sr 2.98-3.14
Cl 0.4704 0.1998 0.8095 [2 per cell]  2 Cl 2.89-2.94, 3 Sr 2.96-3.16
Cl 0.4858 0.4070 0.2703 [2 per cell]  3 Sr 2.88-3.18, 3 Cl 2.90-3.04

* total magnetic moment: 0.1 Bohr magnetons per cell
* volume: 28.7 A^3/atom

Most stable structure: A)

A) Material: TcCl3
Method: DFT, PBE
State: optimized geometry

abc: 6.1712 9.6802 6.6786
angles: 90.00 107.53 90.00
Closest atoms and distances in Å follow each position.
Space group C2/m (No. 12)
Inequivalent atoms, fractional coordinates:
Tc 0.0000 0.1417 0.0000 [4 per cell]  6 Cl 2.33-2.46
Cl 0.2344 0.3297 0.2024 [8 per cell]  2 Tc 2.43-2.46
Cl 0.2408 0.0000 0.2527 [4 per cell]  2 Tc 2.33

* total magnetic moment: 4.0 Bohr magnetons per cell
* volume: 23.8 A^3/atom

B) Material: TcCl3
Method: DFT, PBE
State: optimized geometry

abc: 10.4797 10.4797 20.8319
angles: 90.00 90.00 120.00
Closest atoms and distances in Å follow each position.
Space group R-3m (No. 166, hexagonal axes)
Inequivalent atoms, fractional coordinates:
Tc 0.0776 0.1552 0.2751 [18 per cell]  4 Cl 2.25-2.40, 2 Tc 2.44
Cl 0.0286 0.5143 0.3904 [18 per cell]  2 Tc 2.40
Cl 0.1019 0.2038 0.1692 [18 per cell]  1 Tc 2.25
Cl 0.1065 0.2130 0.3868 [18 per cell]  1 Tc 2.38

* volume: 27.5 A^3/atom

Most stable structure: B)